Record 1
# LaNi4B

LaNi4B after structural relaxation (r2SCAN, the Materials Project database).

Magnetization   0.00 μB/cell
E_form   -0.382 eV per atom

abc: 5.0748 5.0748 6.9301
angles: 90.00 90.00 120.00
Last column: nearest neighbours and their distance in Å.
Atoms (fractional coordinates):
La 0.0000 0.0000 0.5000  12 Ni 2.91, 6 B 2.93
La 0.0000 0.0000 0.0000  18 Ni 2.93-3.25
Ni 0.3333 0.6667 0.0000  6 Ni 2.51
Ni 0.6667 0.3333 0.0000  6 Ni 2.51
Ni 0.5000 0.0000 0.2941  2 B 2.05
Ni 0.5000 0.5000 0.2941  2 B 2.05
Ni 0.0000 0.5000 0.2941  2 B 2.05
Ni 0.5000 0.0000 0.7059  2 B 2.05
Ni 0.5000 0.5000 0.7059  2 B 2.05
Ni 0.0000 0.5000 0.7059  2 B 2.05
B 0.6667 0.3333 0.5000  6 Ni 2.05
B 0.3333 0.6667 0.5000  6 Ni 2.05



Record 2
# Zn3As2O8

Zn3As2O8 after structural relaxation (r2SCAN, the Materials Project database).

Magnetization   0.00 μB/cell
E_form   -1.525 eV per atom

abc: 8.4803 5.2941 8.8571
angles: 60.28 90.00 90.00
Last column: nearest neighbours and their distance in Å.
Atoms (fractional coordinates):
Zn 0.1387 0.4803 0.1121  4 O 1.95-2.01
Zn 0.6387 0.5197 0.3879  4 O 1.95-2.01
Zn 0.8613 0.5197 0.8879  4 O 1.95-2.01
Zn 0.3613 0.4803 0.6121  4 O 1.95-2.01
Zn 0.0000 0.5000 0.5000  6 O 2.02-2.20
Zn 0.5000 0.5000 0.0000  6 O 2.02-2.20
As 0.3074 0.8542 0.1917  4 O 1.69-1.72
As 0.8074 0.1458 0.3083  4 O 1.69-1.72
As 0.6926 0.1458 0.8083  4 O 1.69-1.72
As 0.1926 0.8542 0.6917  4 O 1.69-1.72
O 0.0667 0.7111 0.8633  1 As 1.70
O 0.5667 0.2889 0.6367  1 As 1.70
O 0.9333 0.2889 0.1367  1 As 1.70
O 0.4333 0.7111 0.3633  1 As 1.70
O 0.1979 0.2172 0.6159  1 As 1.69
O 0.6979 0.7828 0.8841  1 As 1.69
O 0.8021 0.7828 0.3841  1 As 1.69
O 0.3021 0.2172 0.1159  1 As 1.69
O 0.1362 0.7825 0.5336  1 As 1.69
O 0.6362 0.2175 0.9664  1 As 1.69
O 0.1293 0.6769 0.2531  1 As 1.72
O 0.6293 0.3231 0.2469  1 As 1.72
O 0.8707 0.3231 0.7469  1 As 1.72
O 0.3707 0.6769 0.7531  1 As 1.72
O 0.3638 0.7825 0.0336  1 As 1.69
O 0.8638 0.2175 0.4664  1 As 1.69



Record 3
# YbBO3

YbBO3 after structural relaxation (r2SCAN, the Materials Project database).

Magnetization   0.00 μB/cell
E_form   -3.351 eV per atom

abc: 3.8099 3.8099 8.2626
angles: 90.00 90.00 111.00
Last column: nearest neighbours and their distance in Å.
Atoms (fractional coordinates):
Yb 0.9230 0.9230 0.5000  6 O 2.21-2.26
Yb 0.9230 0.9230 0.0000  6 O 2.21-2.26
B 0.5091 0.2320 0.2500  3 O 1.37-1.38
B 0.2320 0.5091 0.7500  3 O 1.37-1.38
O 0.6790 0.3344 0.3991  1 B 1.38
O 0.3344 0.6790 0.6009  1 B 1.38
O 0.3344 0.6790 0.8991  1 B 1.38
O 0.6790 0.3344 0.1009  1 B 1.38
O 0.1440 0.9888 0.2500  1 B 1.37
O 0.9888 0.1440 0.7500  1 B 1.37



Record 4
# LiTbHg2

LiTbHg2 after structural relaxation (r2SCAN, the Materials Project database).

Magnetization   0.00 μB/cell
E_form   -0.517 eV per atom

abc: 4.9948 4.9948 4.9948
angles: 60.00 60.00 60.00
Last column: nearest neighbours and their distance in Å.
Atoms (fractional coordinates):
Li 0.2500 0.2500 0.2500  8 Hg 3.06
Tb 0.7500 0.7500 0.7500  8 Hg 3.06
Hg 0.0000 0.0000 0.0000  4 Li 3.06, 4 Tb 3.06
Hg 0.5000 0.5000 0.5000  4 Li 3.06, 4 Tb 3.06



Record 5
# U2Be25Cu

U2Be25Cu after structural relaxation (r2SCAN, the Materials Project database).

Magnetization   5.39 μB/cell
E_form   -0.116 eV per atom

abc: 7.2789 7.2789 7.2789
angles: 60.00 60.00 60.00
Last column: nearest neighbours and their distance in Å.
Atoms (fractional coordinates):
U 0.2500 0.2500 0.2500  24 Be 2.99-3.04
U 0.7500 0.7500 0.7500  24 Be 2.99-3.04
Be 0.7881 0.5630 0.2119  10 Be 2.15-2.32
Be 0.2119 0.4370 0.7881  10 Be 2.15-2.32
Be 0.5630 0.7881 0.4370  10 Be 2.15-2.32
Be 0.4370 0.2119 0.5630  10 Be 2.15-2.32
Be 0.3009 0.9400 0.6991  8 Be 2.20-2.32, 1 Cu 2.23
Be 0.6991 0.0600 0.3009  8 Be 2.20-2.32, 1 Cu 2.23
Be 0.9400 0.3009 0.0600  8 Be 2.20-2.32, 1 Cu 2.23
Be 0.0600 0.6991 0.9400  8 Be 2.20-2.32, 1 Cu 2.23
Be 0.2119 0.7881 0.5630  10 Be 2.15-2.32
Be 0.7881 0.2119 0.4370  10 Be 2.15-2.32
Be 0.4370 0.5630 0.7881  10 Be 2.15-2.32
Be 0.5630 0.4370 0.2119  10 Be 2.15-2.32
Be 0.6991 0.3009 0.9400  8 Be 2.20-2.32, 1 Cu 2.23
Be 0.3009 0.6991 0.0600  8 Be 2.20-2.32, 1 Cu 2.23
Be 0.0600 0.9400 0.3009  8 Be 2.20-2.32, 1 Cu 2.23
Be 0.9400 0.0600 0.6991  8 Be 2.20-2.32, 1 Cu 2.23
Be 0.5630 0.2119 0.7881  10 Be 2.15-2.32
Be 0.4370 0.7881 0.2119  10 Be 2.15-2.32
Be 0.7881 0.4370 0.5630  10 Be 2.15-2.32
Be 0.2119 0.5630 0.4370  10 Be 2.15-2.32
Be 0.9400 0.6991 0.3009  8 Be 2.20-2.32, 1 Cu 2.23
Be 0.0600 0.3009 0.6991  8 Be 2.20-2.32, 1 Cu 2.23
Be 0.3009 0.0600 0.9400  8 Be 2.20-2.32, 1 Cu 2.23
Be 0.6991 0.9400 0.0600  8 Be 2.20-2.32, 1 Cu 2.23
Be 0.5000 0.5000 0.5000  12 Be 2.15
Cu 0.0000 0.0000 0.0000  12 Be 2.23



Record 6
# Ti2GeC

Ti2GeC after structural relaxation (r2SCAN, the Materials Project database).

Magnetization   0.00 μB/cell
E_form   -0.881 eV per atom

abc: 3.0873 3.0873 12.9156
angles: 90.00 90.00 120.00
Last column: nearest neighbours and their distance in Å.
Atoms (fractional coordinates):
Ti 0.6667 0.3333 0.5893  3 C 2.12
Ti 0.3333 0.6667 0.4107  3 C 2.12
Ti 0.3333 0.6667 0.0893  3 C 2.12
Ti 0.6667 0.3333 0.9107  3 C 2.12
Ge 0.6667 0.3333 0.2500  6 Ti 2.74
Ge 0.3333 0.6667 0.7500  6 Ti 2.74
C 0.0000 0.0000 0.5000  6 Ti 2.12
C 0.0000 0.0000 0.0000  6 Ti 2.12



Question: Which value of magnetization does entry 5 give?
Answer: 5.39 μB/cell